No. 1
# Cr3N4

A geometry-optimized Cr3N4 structure (PBE, the Materials Project database).

Cell: 7.6719 7.6719 6.6554 Å, 90.00 90.00 120.00°
Positions (direct):
Cr 0.4639 0.0999 0.2699
Cr 0.6360 0.5361 0.2699
Cr 0.9001 0.3640 0.2699
Cr 0.3640 0.9001 0.7699
Cr 0.0999 0.4639 0.7699
Cr 0.5361 0.6360 0.7699
Cr 0.1965 0.2414 0.5151
Cr 0.0450 0.8035 0.5151
Cr 0.7586 0.9550 0.5151
Cr 0.9550 0.7586 0.0151
Cr 0.2414 0.1965 0.0151
Cr 0.8035 0.0450 0.0151
N 0.0000 0.0000 0.3631
N 0.0000 0.0000 0.8631
N 0.0000 0.0000 0.6691
N 0.0000 0.0000 0.1691
N 0.3227 0.9545 0.5023
N 0.6318 0.6773 0.5023
N 0.0455 0.3682 0.5023
N 0.3682 0.0455 0.0023
N 0.9545 0.3227 0.0023
N 0.6773 0.6318 0.0023
N 0.3833 0.3034 0.2853
N 0.9201 0.6167 0.2853
N 0.6966 0.0799 0.2853
N 0.0799 0.6966 0.7853
N 0.3034 0.3833 0.7853
N 0.6167 0.9201 0.7853

Results
The value obtained for the formation energy is -0.33 eV/atom. The calculation puts the polymorph energy (0 for the lowest one) at 0.1828 eV/atom. The final energy comes out at -252.59 eV/cell. The value obtained for the MP2020-corrected energy is -9.23 eV/atom.



No. 2
# CrN

A geometry-optimized CrN structure (PBE, the Materials Project database).

Cell: 4.1581 4.1581 5.0655 Å, 65.78 65.78 90.00°
Positions (direct):
Cr 0.0000 0.0000 0.0000
Cr 0.2500 0.7500 0.5000
Cr 0.7500 0.2500 0.5000
Cr 0.5000 0.5000 0.0000
N 0.5000 0.0000 0.0000
N 0.7500 0.7500 0.5000
N 0.0000 0.5000 0.0000
N 0.2500 0.2500 0.5000

Results
The value obtained for the formation energy is -0.64 eV/atom. The final energy comes out at -75.66 eV/cell. The value obtained for the MP2020-corrected energy is -9.64 eV/atom.



No. 3
# CrN

A geometry-optimized CrN structure (PBE, the Materials Project database).

Cell: 2.6827 2.6827 2.6002 Å, 90.00 90.00 120.00°
Positions (direct):
Cr 0.6667 0.3333 0.5000
N 0.3333 0.6667 0.0000

Results
The value obtained for the formation energy is -0.69 eV/atom. The final energy comes out at -19.01 eV/cell. The value obtained for the MP2020-corrected energy is -9.69 eV/atom.



No. 4
# Cr3N4

A geometry-optimized Cr3N4 structure (PBE, the Materials Project database).

Cell: 7.6374 7.6374 2.7529 Å, 90.00 90.00 120.00°
Positions (direct):
Cr 0.5233 0.6543 0.7500
Cr 0.1310 0.4767 0.7500
Cr 0.3457 0.8690 0.7500
Cr 0.4767 0.3457 0.2500
Cr 0.8690 0.5233 0.2500
Cr 0.6543 0.1310 0.2500
N 0.6389 0.9510 0.7500
N 0.3121 0.3611 0.7500
N 0.0490 0.6879 0.7500
N 0.3611 0.0490 0.2500
N 0.6879 0.6389 0.2500
N 0.9510 0.3121 0.2500
N 0.6667 0.3333 0.7500
N 0.3333 0.6667 0.2500

Results
The value obtained for the formation energy is -0.51 eV/atom. The calculation puts the polymorph energy (0 for the lowest one) at 0.0000 eV/atom. The final energy comes out at -128.85 eV/cell. The value obtained for the MP2020-corrected energy is -9.41 eV/atom.



No. 5
# Cr3N4

A geometry-optimized Cr3N4 structure (PBE, the Materials Project database).

Cell: 3.9634 3.9634 3.9634 Å, 90.00 90.00 90.00°
Positions (direct):
Cr 0.0000 0.5000 0.5000
Cr 0.5000 0.5000 0.0000
Cr 0.5000 0.0000 0.5000
N 0.0000 0.0000 0.5000
N 0.0000 0.5000 0.0000
N 0.5000 0.0000 0.0000
N 0.5000 0.5000 0.5000

Results
The value obtained for the formation energy is -0.31 eV/atom. The calculation puts the polymorph energy (0 for the lowest one) at 0.1946 eV/atom. The final energy comes out at -63.06 eV/cell. The value obtained for the MP2020-corrected energy is -9.22 eV/atom.



No. 6
# CrN

A geometry-optimized CrN structure (PBE, the Materials Project database).

Cell: 2.5214 2.5214 2.5214 Å, 90.00 90.00 90.00°
Positions (direct):
Cr 0.0000 0.0000 0.0000
N 0.5000 0.5000 0.5000

Results
The value obtained for the formation energy is -0.01 eV/atom. The final energy comes out at -17.65 eV/cell. The value obtained for the MP2020-corrected energy is -9.01 eV/atom.



No. 7
# CrN

A geometry-optimized CrN structure (PBE, the Materials Project database).

Cell: 3.0092 3.0091 4.8800 Å, 72.04 90.00 120.00°
Positions (direct):
Cr 0.5000 0.0000 0.5000
Cr 0.0000 0.0000 0.0000
N 0.2500 0.5000 0.2500
N 0.7500 0.5000 0.7500

Results
The value obtained for the formation energy is -0.65 eV/atom. The final energy comes out at -37.86 eV/cell. The value obtained for the MP2020-corrected energy is -9.65 eV/atom.



No. 8
# Na2CrN2

A geometry-optimized Na2CrN2 structure (PBE, the Materials Project database).

Cell: 2.9724 2.9722 8.8014 Å, 90.00 90.29 120.00°
Positions (direct):
Na 0.6728 0.3364 0.3050
Na 0.3272 0.6636 0.6950
Cr 0.0000 0.0000 0.0000
N 0.6643 0.3322 0.8798
N 0.3357 0.6678 0.1202

Results
The value obtained for the formation energy is -0.22 eV/atom. The final energy comes out at -29.36 eV/cell. The value obtained for the MP2020-corrected energy is -6.02 eV/atom.



No. 9
# Na15Cr7N19

A geometry-optimized Na15Cr7N19 structure (PBE, the Materials Project database).

Cell: 5.9659 11.2570 17.8726 Å, 91.00 93.57 101.31°
Positions (direct):
Na 0.5253 0.6220 0.4459
Na 0.4747 0.3780 0.5541
Na 0.6003 0.1414 0.6413
Na 0.3997 0.8586 0.3587
Na 0.7169 0.0173 0.1971
Na 0.2831 0.9827 0.8029
Na 0.9173 0.0277 0.3918
Na 0.0827 0.9723 0.6082
Na 0.8389 0.7766 0.2932
Na 0.1611 0.2234 0.7068
Na 0.8677 0.1704 0.8402
Na 0.1323 0.8296 0.1598
Na 0.8622 0.9037 0.9003
Na 0.1378 0.0963 0.0997
Na 0.7202 0.0841 0.0092
Na 0.2798 0.9159 0.9908
Na 0.6057 0.8967 0.5341
Na 0.3943 0.1033 0.4659
Na 0.6588 0.4886 0.2923
Na 0.3412 0.5114 0.7077
Na 0.9596 0.3444 0.0118
Na 0.0404 0.6556 0.9882
Na 0.8659 0.6662 0.7973
Na 0.1341 0.3338 0.2027
Na 0.7617 0.2581 0.3726
Na 0.2383 0.7419 0.6274
Na 0.5778 0.3670 0.8390
Na 0.4222 0.6330 0.1610
Na 0.0000 0.5000 0.5000
Na 0.5000 0.5000 0.0000
Cr 0.5982 0.2616 0.1312
Cr 0.4018 0.7384 0.8688
Cr 0.8212 0.4004 0.6903
Cr 0.1788 0.5996 0.3097
Cr 0.7354 0.6597 0.6126
Cr 0.2646 0.3403 0.3874
Cr 0.0010 0.7740 0.4566
Cr 0.9990 0.2260 0.5434
Cr 0.8885 0.5527 0.1395
Cr 0.1115 0.4473 0.8605
Cr 0.6728 0.9038 0.7219
Cr 0.3272 0.0962 0.2781
Cr 0.6798 0.7956 0.0518
Cr 0.3202 0.2044 0.9482
N 0.8306 0.2025 0.1242
N 0.1694 0.7975 0.8758
N 0.9134 0.3262 0.6146
N 0.0866 0.6738 0.3854
N 0.5574 0.0581 0.3224
N 0.4426 0.9419 0.6776
N 0.5823 0.8182 0.8033
N 0.4177 0.1818 0.1967
N 0.6720 0.4191 0.1556
N 0.3280 0.5809 0.8444
N 0.5382 0.3988 0.4143
N 0.4618 0.6012 0.5857
N 0.7820 0.1103 0.5170
N 0.2180 0.8897 0.4830
N 0.9045 0.6830 0.5349
N 0.0955 0.3170 0.4651
N 0.9238 0.8991 0.0508
N 0.0762 0.1009 0.9492
N 0.7734 0.8241 0.4202
N 0.2266 0.1759 0.5798
N 0.7803 0.7992 0.6593
N 0.2197 0.2008 0.3407
N 0.9016 0.4846 0.9064
N 0.0984 0.5154 0.0936
N 0.5567 0.7575 0.9578
N 0.4433 0.2425 0.0422
N 0.7565 0.6560 0.0892
N 0.2435 0.3440 0.9108
N 0.8876 0.0247 0.7424
N 0.1124 0.9753 0.2576
N 0.9946 0.6204 0.2280
N 0.0054 0.3796 0.7720
N 0.8516 0.5562 0.6737
N 0.1484 0.4438 0.3263
N 0.5515 0.3405 0.7056
N 0.4485 0.6595 0.2944
N 0.4900 0.8463 0.1043
N 0.5100 0.1537 0.8957

Results
The value obtained for the formation energy is -0.51 eV/atom. The final energy comes out at -519.81 eV/cell. The value obtained for the MP2020-corrected energy is -6.51 eV/atom.



No. 10
# Na6CrN4

A geometry-optimized Na6CrN4 structure (PBE, the Materials Project database).

Cell: 7.3375 7.3375 5.7904 Å, 90.00 90.00 90.00°
Positions (direct):
Na 0.0000 0.5000 0.6565
Na 0.5000 0.0000 0.8435
Na 0.5000 0.0000 0.3435
Na 0.0000 0.5000 0.1565
Na 0.2071 0.2071 0.5000
Na 0.7929 0.7929 0.5000
Na 0.7071 0.7071 0.0000
Na 0.2929 0.2929 0.0000
Na 0.7929 0.2071 0.5000
Na 0.2071 0.7929 0.5000
Na 0.2929 0.7071 0.0000
Na 0.7071 0.2929 0.0000
Cr 0.5000 0.5000 0.5000
Cr 0.0000 0.0000 0.0000
N 0.2943 0.5000 0.3320
N 0.7057 0.5000 0.3320
N 0.7943 0.0000 0.1680
N 0.2057 0.0000 0.1680
N 0.5000 0.2943 0.6680
N 0.5000 0.7057 0.6680
N 0.0000 0.7943 0.8320
N 0.0000 0.2057 0.8320

Results
The value obtained for the formation energy is -0.26 eV/atom. The final energy comes out at -104.76 eV/cell. The value obtained for the MP2020-corrected energy is -4.89 eV/atom.



No. 11
# NbCrN

A geometry-optimized NbCrN structure (PBE, the Materials Project database).

Cell: 3.0368 3.0368 7.4251 Å, 90.00 90.00 90.00°
Positions (direct):
Nb 0.5000 0.0000 0.1781
Nb 0.0000 0.5000 0.8219
Cr 0.0000 0.5000 0.4138
Cr 0.5000 0.0000 0.5862
N 0.0000 0.5000 0.1390
N 0.5000 0.0000 0.8610

Results
The value obtained for the formation energy is -0.82 eV/atom. The final energy comes out at -60.39 eV/cell. The value obtained for the MP2020-corrected energy is -10.18 eV/atom.



No. 12
# NbCrN2

A geometry-optimized NbCrN2 structure (PBE, the Materials Project database).

Cell: 3.0357 3.0357 9.2420 Å, 90.00 90.00 90.00°
Positions (direct):
Nb 0.0000 0.5000 0.6704
Nb 0.5000 0.0000 0.3296
Cr 0.0000 0.5000 0.0536
Cr 0.5000 0.0000 0.9464
N 0.0000 0.5000 0.2548
N 0.5000 0.0000 0.7452
N 0.0000 0.0000 0.5000
N 0.5000 0.5000 0.5000

Results
The value obtained for the formation energy is -0.31 eV/atom. The final energy comes out at -73.92 eV/cell. The value obtained for the MP2020-corrected energy is -9.42 eV/atom.



No. 13
# NbCrN2

A geometry-optimized NbCrN2 structure (PBE, the Materials Project database).

Cell: 3.1956 3.1956 8.3855 Å, 90.00 90.00 90.00°
Positions (direct):
Nb 0.0000 0.5000 0.6179
Nb 0.5000 0.0000 0.3821
Cr 0.0000 0.5000 0.1249
Cr 0.5000 0.0000 0.8751
N 0.0000 0.5000 0.3544
N 0.5000 0.0000 0.6456
N 0.5000 0.5000 0.0000
N 0.0000 0.0000 0.0000

Results
The value obtained for the formation energy is -0.52 eV/atom. The final energy comes out at -75.54 eV/cell. The value obtained for the MP2020-corrected energy is -9.62 eV/atom.



No. 14
# Cr2Ni3N4

A geometry-optimized Cr2Ni3N4 structure (PBE, the Materials Project database).

Cell: 5.6297 7.2318 5.4900 Å, 90.00 91.24 129.96°
Positions (direct):
Cr 0.6284 0.1892 0.6384
Cr 0.3716 0.5608 0.8616
Cr 0.3716 0.8108 0.3616
Cr 0.6284 0.4392 0.1384
Ni 0.2298 0.0075 0.0064
Ni 0.7702 0.7777 0.4936
Ni 0.7702 0.9925 0.9936
Ni 0.2298 0.2223 0.5064
Ni 0.0000 0.6512 0.7500
Ni 0.0000 0.3488 0.2500
N 0.2132 0.9357 0.5227
N 0.7868 0.7225 0.9773
N 0.7868 0.0643 0.4773
N 0.2132 0.2775 0.0227
N 0.6839 0.2412 0.9733
N 0.3161 0.5573 0.5267
N 0.3161 0.7588 0.0267
N 0.6839 0.4427 0.4733

Results
The value obtained for the formation energy is -0.13 eV/atom. The final energy comes out at -139.48 eV/cell. The value obtained for the MP2020-corrected energy is -7.91 eV/atom.



No. 15
# CrNi3N3

A geometry-optimized CrNi3N3 structure (PBE, the Materials Project database).

Cell: 6.2441 6.2432 4.1189 Å, 90.00 90.00 120.00°
Positions (direct):
Cr 0.6667 0.3333 0.7500
Cr 0.3333 0.6667 0.2500
Ni 0.8827 0.5978 0.2500
Ni 0.7151 0.1173 0.2500
Ni 0.4022 0.2849 0.2500
Ni 0.1173 0.4022 0.7500
Ni 0.2849 0.8827 0.7500
Ni 0.5978 0.7151 0.7500
N 0.9532 0.6172 0.7500
N 0.6640 0.0468 0.7500
N 0.3828 0.3360 0.7500
N 0.0468 0.3828 0.2500
N 0.3360 0.9532 0.2500
N 0.6172 0.6640 0.2500

Results
The value obtained for the formation energy is 0.06 eV/atom. The final energy comes out at -101.00 eV/cell. The value obtained for the MP2020-corrected energy is -7.37 eV/atom.



No. 16
# CrNi2N3

A geometry-optimized CrNi2N3 structure (PBE, the Materials Project database).

Cell: 5.0340 5.0914 5.3123 Å, 90.00 90.00 120.38°
Positions (direct):
Cr 0.0000 0.6650 0.4548
Cr 0.0000 0.3350 0.9548
Ni 0.2952 0.3318 0.5248
Ni 0.7048 0.0366 0.5248
Ni 0.7048 0.6682 0.0248
Ni 0.2952 0.9634 0.0248
N 0.3425 0.3293 0.8817
N 0.6575 0.9868 0.8817
N 0.6575 0.6707 0.3817
N 0.3425 0.0132 0.3817
N 0.0000 0.6609 0.8042
N 0.0000 0.3391 0.3042

Results
The value obtained for the formation energy is -0.16 eV/atom. The final energy comes out at -92.20 eV/cell. The value obtained for the MP2020-corrected energy is -7.86 eV/atom.



No. 17
# Cr2NiN2

A geometry-optimized Cr2NiN2 structure (PBE, the Materials Project database).

Cell: 5.4538 2.7035 12.7769 Å, 90.00 90.00 90.00°
Positions (direct):
Cr 0.6105 0.2500 0.9237
Cr 0.1105 0.2500 0.5763
Cr 0.3895 0.7500 0.0763
Cr 0.8895 0.7500 0.4237
Cr 0.1600 0.2500 0.9308
Cr 0.6600 0.2500 0.5692
Cr 0.8400 0.7500 0.0692
Cr 0.3400 0.7500 0.4308
Ni 0.6139 0.2500 0.2681
Ni 0.1139 0.2500 0.2319
Ni 0.3861 0.7500 0.7319
Ni 0.8861 0.7500 0.7681
N 0.6224 0.2500 0.4169
N 0.1224 0.2500 0.0831
N 0.3776 0.7500 0.5831
N 0.8776 0.7500 0.9169
N 0.6271 0.2500 0.1262
N 0.1271 0.2500 0.3738
N 0.3729 0.7500 0.8738
N 0.8729 0.7500 0.6262

Results
The value obtained for the formation energy is -0.40 eV/atom. The final energy comes out at -172.18 eV/cell. The value obtained for the MP2020-corrected energy is -8.75 eV/atom.



No. 18
# Cr3PdN

A geometry-optimized Cr3PdN structure (PBE, the Materials Project database).

Cell: 3.8399 3.8399 3.8399 Å, 90.00 90.00 90.00°
Positions (direct):
Cr 0.5000 0.0000 0.5000
Cr 0.0000 0.5000 0.5000
Cr 0.5000 0.5000 0.0000
Pd 0.0000 0.0000 0.0000
N 0.5000 0.5000 0.5000

Results
The value obtained for the formation energy is -0.25 eV/atom. The final energy comes out at -43.36 eV/cell. The value obtained for the MP2020-corrected energy is -8.74 eV/atom.